# 1
A relaxed structure of TbIn2Pd. Source: the Materials Project, functional PBE.

Unit cell a=10.8671 b=10.8671 c=10.8671 alpha=100.43 beta=100.43 gamma=129.64
Last column: nearest neighbours and their distance in Å.
Fractional coordinates of all 40 atoms:
In (0.0049, 0.2143, 0.4930)  3 Pd 2.86-2.89, 3 In 3.05-3.18
Tb (0.8817, 0.6010, 0.2807)  2 Pd 3.10, 9 In 3.16-3.47
In (0.7409, 0.1234, 0.6175)  3 Pd 2.78-2.84, 2 In 3.05
In (0.4356, 0.2712, 0.1644)  3 Pd 2.81-2.94
Pd (0.6160, 0.2951, 0.0000)  5 In 2.81-2.93, 3 Tb 3.07-3.10
In (0.7213, 0.5119, 0.5070)  3 Pd 2.86-2.89, 3 In 3.05-3.18
In (0.1068, 0.2712, 0.8356)  3 Pd 2.81-2.94
Tb (0.9999, 0.9999, 0.0000)  4 Pd 3.00
Tb (0.5290, 0.5290, 0.0000)  4 Pd 3.23, 8 In 3.30-3.40
In (0.7213, 0.2143, 0.2094)  3 Pd 2.86-2.89, 3 In 3.05-3.18
Pd (0.7484, 0.9624, 0.7860)  6 In 2.78-2.94, 1 Tb 3.00
Pd (0.3726, 0.8726, 0.5000)  8 In 2.83-2.86
Tb (0.3204, 0.6010, 0.7193)  2 Pd 3.10, 9 In 3.16-3.47
In (0.1234, 0.7409, 0.6175)  3 Pd 2.78-2.84, 2 In 3.05
In (0.1234, 0.5058, 0.3825)  3 Pd 2.78-2.84, 2 In 3.05
Tb (0.3161, 0.9109, 0.0000)  4 Pd 3.07-3.27, 6 In 3.22-3.25
In (0.8984, 0.8984, 0.2641)  3 Pd 2.82-2.93, 2 Tb 3.16
In (0.8984, 0.6343, 0.0000)  3 Pd 2.82-2.93, 2 Tb 3.16
In (0.5058, 0.1234, 0.3825)  3 Pd 2.78-2.84, 2 In 3.05
In (0.6343, 0.8984, 0.0000)  3 Pd 2.82-2.93, 2 Tb 3.16
Pd (0.9624, 0.1764, 0.2140)  6 In 2.78-2.94, 1 Tb 3.00
Tb (0.6010, 0.3204, 0.7193)  2 Pd 3.10, 9 In 3.16-3.47
Pd (0.2951, 0.6160, 0.0000)  5 In 2.81-2.93, 3 Tb 3.07-3.10
In (0.0049, 0.5119, 0.7906)  3 Pd 2.86-2.89, 3 In 3.05-3.18
Pd (0.6160, 0.6160, 0.3208)  5 In 2.81-2.93, 3 Tb 3.07-3.10
In (0.2143, 0.0049, 0.4930)  3 Pd 2.86-2.89, 3 In 3.05-3.18
Tb (0.6010, 0.8817, 0.2807)  2 Pd 3.10, 9 In 3.16-3.47
In (0.2143, 0.7213, 0.2094)  3 Pd 2.86-2.89, 3 In 3.05-3.18
In (0.5119, 0.0049, 0.7906)  3 Pd 2.86-2.89, 3 In 3.05-3.18
Tb (0.3161, 0.3161, 0.4051)  4 Pd 3.07-3.27, 6 In 3.22-3.25
Tb (0.9109, 0.3161, 0.0000)  4 Pd 3.07-3.27, 6 In 3.22-3.25
Pd (0.2951, 0.2951, 0.6792)  5 In 2.81-2.93, 3 Tb 3.07-3.10
Pd (0.1764, 0.9624, 0.2140)  6 In 2.78-2.94, 1 Tb 3.00
In (0.5119, 0.7213, 0.5070)  3 Pd 2.86-2.89, 3 In 3.05-3.18
In (0.6343, 0.6343, 0.7359)  3 Pd 2.82-2.93, 2 Tb 3.16
Pd (0.8726, 0.3726, 0.5000)  8 In 2.83-2.86
Pd (0.9624, 0.7484, 0.7860)  6 In 2.78-2.94, 1 Tb 3.00
In (0.2712, 0.1068, 0.8356)  3 Pd 2.81-2.94
Tb (0.9109, 0.9109, 0.5949)  4 Pd 3.07-3.27, 6 In 3.22-3.25
In (0.2712, 0.4356, 0.1644)  3 Pd 2.81-2.94

# 2
A relaxed structure of Zr6BH42C12I13O12. Source: the Materials Project, functional PBE.

Unit cell a=11.6902 b=11.6902 c=11.6902 alpha=103.39 beta=103.39 gamma=103.39
Last column: nearest neighbours and their distance in Å.
Fractional coordinates of all 86 atoms:
H (0.8260, 0.4869, 0.4402)  1 C 1.10
H (0.5343, 0.2817, 0.9337)  1 C 1.10
C (0.1908, 0.8935, 0.4638)  3 H 1.10
O (0.9529, 0.3718, 0.1855)  1 C 1.41
C (0.4689, 0.8087, 0.4025)  3 H 1.10-1.11
C (0.5311, 0.1913, 0.5975)  3 H 1.10-1.11
H (0.3640, 0.4650, 0.8853)  1 C 1.10
O (0.1855, 0.9529, 0.3718)  1 C 1.41
I (0.2579, 0.8882, 0.8561)  2 Zr 2.91-2.95, 1 O 3.24
C (0.1913, 0.5975, 0.5311)  3 H 1.10-1.11
H (0.5598, 0.1740, 0.5131)  1 C 1.10
H (0.1750, 0.7941, 0.4220)  1 C 1.10
H (0.1147, 0.6360, 0.5350)  1 C 1.10
Zr (0.1182, 0.9819, 0.2181)  1 O 1.93
H (0.5946, 0.7330, 0.4594)  1 O 0.98
H (0.4916, 0.8809, 0.0943)  1 C 1.10
O (0.1969, 0.5724, 0.4072)  1 H 0.98
I (0.8561, 0.2579, 0.8882)  2 Zr 2.91-2.95, 1 O 3.24
I (0.7421, 0.1118, 0.1439)  2 Zr 2.91-2.95, 1 O 3.24
I (0.1118, 0.1439, 0.7421)  2 Zr 2.91-2.95, 1 O 3.24
H (0.8809, 0.0943, 0.4916)  1 C 1.10
O (0.3718, 0.1855, 0.9529)  1 C 1.41
H (0.4657, 0.7183, 0.0663)  1 C 1.10
O (0.4276, 0.5928, 0.8031)  1 H 0.98
O (0.6282, 0.8145, 0.0471)  1 C 1.41
O (0.5724, 0.4072, 0.1969)  1 H 0.98
H (0.6360, 0.5350, 0.1147)  1 C 1.10
C (0.8087, 0.4025, 0.4689)  3 H 1.10-1.11
H (0.2670, 0.5406, 0.4054)  1 O 0.98
C (0.4638, 0.1908, 0.8935)  3 H 1.10
H (0.7330, 0.4594, 0.5946)  1 O 0.98
H (0.7941, 0.4220, 0.1750)  1 C 1.10
H (0.2059, 0.5780, 0.8250)  1 C 1.10
Zr (0.2181, 0.1182, 0.9819)  1 O 1.93
I (0.8882, 0.8561, 0.2579)  2 Zr 2.91-2.95, 1 O 3.24
Zr (0.8818, 0.0181, 0.7819)  1 O 1.93
I (0.1068, 0.2187, 0.3650)  2 Zr 2.91-2.95
I (0.1439, 0.7421, 0.1118)  2 Zr 2.91-2.95, 1 O 3.24
I (0.5000, 0.5000, 0.5000)  6 H 2.88
H (0.9057, 0.5084, 0.1191)  1 C 1.10
H (0.3351, 0.4024, 0.7227)  1 C 1.11
O (0.5928, 0.8031, 0.4276)  1 H 0.98
O (0.4072, 0.1969, 0.5724)  1 H 0.98
C (0.8092, 0.1065, 0.5362)  3 H 1.10
H (0.1740, 0.5131, 0.5598)  1 C 1.10
I (0.7813, 0.6350, 0.8932)  2 Zr 2.91-2.95
Zr (0.0181, 0.7819, 0.8818)  1 O 1.93
O (0.8031, 0.4276, 0.5928)  1 H 0.98
C (0.1065, 0.5362, 0.8092)  3 H 1.10
I (0.6350, 0.8932, 0.7813)  2 Zr 2.91-2.95
H (0.0943, 0.4916, 0.8809)  1 C 1.10
I (0.8932, 0.7813, 0.6350)  2 Zr 2.91-2.95
B (0.0000, 0.0000, 0.0000)  6 Zr 2.69
H (0.7227, 0.3351, 0.4024)  1 C 1.11
H (0.7183, 0.0663, 0.4657)  1 C 1.10
H (0.5406, 0.4054, 0.2670)  1 O 0.98
I (0.3650, 0.1068, 0.2187)  2 Zr 2.91-2.95
H (0.4054, 0.2670, 0.5406)  1 O 0.98
H (0.4024, 0.7227, 0.3351)  1 C 1.11
H (0.4869, 0.4402, 0.8260)  1 C 1.10
H (0.9337, 0.5343, 0.2817)  1 C 1.10
H (0.2817, 0.9337, 0.5343)  1 C 1.10
H (0.0663, 0.4657, 0.7183)  1 C 1.10
H (0.4402, 0.8260, 0.4869)  1 C 1.10
H (0.4650, 0.8853, 0.3640)  1 C 1.10
Zr (0.9819, 0.2181, 0.1182)  1 O 1.93
O (0.8145, 0.0471, 0.6282)  1 C 1.41
C (0.4025, 0.4689, 0.8087)  3 H 1.10-1.11
H (0.2773, 0.6649, 0.5976)  1 C 1.11
C (0.5362, 0.8092, 0.1065)  3 H 1.10
H (0.4594, 0.5946, 0.7330)  1 O 0.98
H (0.5131, 0.5598, 0.1740)  1 C 1.10
H (0.1191, 0.9057, 0.5084)  1 C 1.10
H (0.5350, 0.1147, 0.6360)  1 C 1.10
H (0.4220, 0.1750, 0.7941)  1 C 1.10
H (0.8250, 0.2059, 0.5780)  1 C 1.10
C (0.5975, 0.5311, 0.1913)  3 H 1.10-1.11
C (0.8935, 0.4638, 0.1908)  3 H 1.10
H (0.8853, 0.3640, 0.4650)  1 C 1.10
I (0.2187, 0.3650, 0.1068)  2 Zr 2.91-2.95
H (0.5084, 0.1191, 0.9057)  1 C 1.10
H (0.5780, 0.8250, 0.2059)  1 C 1.10
Zr (0.7819, 0.8818, 0.0181)  1 O 1.93
H (0.6649, 0.5976, 0.2773)  1 C 1.11
O (0.0471, 0.6282, 0.8145)  1 C 1.41
H (0.5976, 0.2773, 0.6649)  1 C 1.11

Computed properties:
E (MP2020): -5.24 eV per atom
magnetic moment: 0.00 μB/cell

# 3
A relaxed structure of Ba2TbCl7. Source: the Materials Project, functional PBE.

Unit cell a=15.7271 b=6.9183 c=10.6426 alpha=89.23 beta=90.00 gamma=90.00
Last column: nearest neighbours and their distance in Å.
Fractional coordinates of all 40 atoms:
Cl (0.7724, 0.4993, 0.7056)  1 Tb 2.74
Cl (0.7427, 0.0114, 0.1982)  1 Tb 2.78
Cl (0.3951, 0.9866, 0.0860)  1 Tb 2.79
Ba (0.7797, 0.7658, 0.9508)  9 Cl 3.12-3.36
Ba (0.2797, 0.2342, 0.5492)  9 Cl 3.12-3.36
Ba (0.7203, 0.7658, 0.4508)  9 Cl 3.12-3.36
Cl (0.7276, 0.4993, 0.2056)  1 Tb 2.74
Cl (0.9290, 0.6296, 0.1242)  1 Tb 2.74
Ba (0.2203, 0.2342, 0.0492)  9 Cl 3.12-3.36
Cl (0.9597, 0.7952, 0.7872)  1 Tb 2.69
Ba (0.4391, 0.7661, 0.8238)  9 Cl 3.12-3.38
Ba (0.9391, 0.2339, 0.6762)  9 Cl 3.12-3.38
Cl (0.6396, 0.2089, 0.4717)  1 Tb 2.69
Cl (0.2725, 0.5007, 0.7944)  1 Tb 2.74
Cl (0.4597, 0.2048, 0.7128)  1 Tb 2.69
Cl (0.1396, 0.7911, 0.0283)  1 Tb 2.69
Tb (0.1271, 0.7183, 0.7814)  7 Cl 2.69-2.79
Cl (0.5710, 0.6296, 0.6242)  1 Tb 2.74
Cl (0.8955, 0.5004, 0.4290)  1 Tb 2.74
Cl (0.3955, 0.4996, 0.0710)  1 Tb 2.74
Cl (0.1045, 0.4996, 0.5710)  1 Tb 2.74
Cl (0.8604, 0.2089, 0.9717)  1 Tb 2.69
Tb (0.6271, 0.2817, 0.7186)  7 Cl 2.69-2.79
Tb (0.8729, 0.2817, 0.2186)  7 Cl 2.69-2.79
Cl (0.0403, 0.2048, 0.2128)  1 Tb 2.69
Cl (0.6049, 0.0134, 0.9140)  1 Tb 2.79
Cl (0.2276, 0.5007, 0.2944)  1 Tb 2.74
Cl (0.7573, 0.0114, 0.6982)  1 Tb 2.78
Cl (0.6045, 0.5004, 0.9290)  1 Tb 2.74
Cl (0.8951, 0.0134, 0.4140)  1 Tb 2.79
Cl (0.5403, 0.7952, 0.2872)  1 Tb 2.69
Cl (0.2427, 0.9886, 0.3018)  1 Tb 2.78
Ba (0.0609, 0.7661, 0.3238)  9 Cl 3.12-3.38
Cl (0.0710, 0.3704, 0.8758)  1 Tb 2.74
Cl (0.2573, 0.9886, 0.8018)  1 Tb 2.78
Tb (0.3729, 0.7183, 0.2814)  7 Cl 2.69-2.79
Cl (0.1049, 0.9866, 0.5860)  1 Tb 2.79
Cl (0.4290, 0.3704, 0.3758)  1 Tb 2.74
Ba (0.5609, 0.2339, 0.1762)  9 Cl 3.12-3.38
Cl (0.3604, 0.7911, 0.5283)  1 Tb 2.69

Computed properties:
E (MP2020): -5.02 eV per atom

Which formation energy from the elements belongs to each record? In order, -0.658 -0.697 -2.874 eV per atom.